(1)
# Ni3Sn4

A geometry-optimized Ni3Sn4 structure (r²SCAN, the Materials Project database).

a = 6.433 Å, b = 6.433 Å, c = 5.196 Å
α = 104.25°, β = 104.25°, γ = 36.74°
Element x y z (fractional)
Ni (0.000, 0.000, 0.000)
Ni (0.216, 0.216, 0.336)
Ni (0.784, 0.784, 0.664)
Sn (0.172, 0.172, 0.813)
Sn (0.427, 0.427, 0.686)
Sn (0.573, 0.573, 0.314)
Sn (0.828, 0.828, 0.187)

Computed properties:
mass density: 8.70 g cm⁻³
total DFT energy (no corrections): -136.1 eV/cell
calculated volume: 124.2 Å³/cell
ΔH_f (0 K): -0.172 eV per atom
SG: C2/m

***

(2)
# SrNiSn3

A geometry-optimized SrNiSn3 structure (r²SCAN, the Materials Project database).

a = 6.408 Å, b = 6.408 Å, c = 6.408 Å
α = 136.55°, β = 136.55°, γ = 63.14°
Element x y z (fractional)
Sr (0.000, 0.000, 0.000)
Ni (0.341, 0.341, 0.000)
Sn (0.250, 0.750, 0.500)
Sn (0.569, 0.569, 0.000)
Sn (0.750, 0.250, 0.500)

Computed properties:
mass density: 6.79 g cm⁻³
total DFT energy (no corrections): -103.5 eV/cell
calculated volume: 122.9 Å³/cell
ΔH_f (0 K): -0.432 eV per atom
SG: I4mm

***

(3)
# SrNiSn2

A geometry-optimized SrNiSn2 structure (r²SCAN, the Materials Project database).

a = 9.578 Å, b = 9.578 Å, c = 4.550 Å
α = 90.00°, β = 90.00°, γ = 152.11°
Element x y z (fractional)
Sr (0.109, 0.891, 0.750)
Sr (0.891, 0.109, 0.250)
Ni (0.317, 0.683, 0.750)
Ni (0.683, 0.317, 0.250)
Sn (0.251, 0.749, 0.250)
Sn (0.453, 0.547, 0.750)
Sn (0.547, 0.453, 0.250)
Sn (0.749, 0.251, 0.750)

Computed properties:
mass density: 6.53 g cm⁻³
total DFT energy (no corrections): -157.3 eV/cell
calculated volume: 195.2 Å³/cell
ΔH_f (0 K): -0.510 eV per atom
SG: Cmcm

***

(4)
# TbNiSn

A geometry-optimized TbNiSn structure (r²SCAN, the Materials Project database).

a = 7.155 Å, b = 4.460 Å, c = 7.630 Å
α = 90.00°, β = 90.00°, γ = 90.00°
Element x y z (fractional)
Tb (0.015, 0.250, 0.201)
Tb (0.485, 0.750, 0.701)
Tb (0.515, 0.250, 0.299)
Tb (0.985, 0.750, 0.799)
Ni (0.199, 0.750, 0.416)
Ni (0.301, 0.250, 0.916)
Ni (0.699, 0.750, 0.084)
Ni (0.801, 0.250, 0.584)
Sn (0.188, 0.250, 0.587)
Sn (0.312, 0.750, 0.087)
Sn (0.688, 0.250, 0.913)
Sn (0.812, 0.750, 0.413)

Computed properties:
mass density: 9.18 g cm⁻³
total DFT energy (no corrections): -280.3 eV/cell
calculated volume: 243.5 Å³/cell
ΔH_f (0 K): -0.709 eV per atom
SG: Pnma

***

(5)
# Tb2Ni2Sn

A geometry-optimized Tb2Ni2Sn structure (r²SCAN, the Materials Project database).

a = 7.356 Å, b = 7.356 Å, c = 3.647 Å
α = 90.00°, β = 90.00°, γ = 90.00°
Element x y z (fractional)
Tb (0.176, 0.324, 0.000)
Tb (0.324, 0.824, 0.000)
Tb (0.676, 0.176, 0.000)
Tb (0.824, 0.676, 0.000)
Ni (0.118, 0.618, 0.500)
Ni (0.382, 0.118, 0.500)
Ni (0.618, 0.882, 0.500)
Ni (0.882, 0.382, 0.500)
Sn (0.000, 0.000, 0.500)
Sn (0.500, 0.500, 0.500)

Computed properties:
mass density: 9.32 g cm⁻³
total DFT energy (no corrections): -228.3 eV/cell
calculated volume: 197.4 Å³/cell
ΔH_f (0 K): -0.595 eV per atom
SG: P4/mbm

***

(6)
# Tb2Ni2Sn

A geometry-optimized Tb2Ni2Sn structure (r²SCAN, the Materials Project database).

a = 5.447 Å, b = 5.447 Å, c = 5.447 Å
α = 134.03°, β = 117.81°, γ = 80.70°
Element x y z (fractional)
Tb (0.202, 0.202, 0.000)
Tb (0.798, 0.798, 0.000)
Ni (0.211, 0.500, 0.711)
Ni (0.789, 0.500, 0.289)
Sn (0.500, 0.000, 0.500)

Computed properties:
mass density: 9.26 g cm⁻³
total DFT energy (no corrections): -114.2 eV/cell
calculated volume: 99.3 Å³/cell
ΔH_f (0 K): -0.599 eV per atom
SG: Immm

***

(7)
# ThNiSn

A geometry-optimized ThNiSn structure (r²SCAN, the Materials Project database).

a = 4.639 Å, b = 4.639 Å, c = 4.639 Å
α = 60.00°, β = 60.00°, γ = 60.00°
Element x y z (fractional)
Th (0.000, 0.000, 0.000)
Ni (0.750, 0.750, 0.750)
Sn (0.500, 0.500, 0.500)

Computed properties:
mass density: 9.63 g cm⁻³
total DFT energy (no corrections): -112.4 eV/cell
calculated volume: 70.6 Å³/cell
ΔH_f (0 K): -0.734 eV per atom
SG: F-43m

***

(8)
# ThNi2Sn2

A geometry-optimized ThNi2Sn2 structure (r²SCAN, the Materials Project database).

a = 4.427 Å, b = 4.427 Å, c = 10.059 Å
α = 90.00°, β = 90.00°, γ = 90.00°
Element x y z (fractional)
Th (0.250, 0.250, 0.233)
Th (0.750, 0.750, 0.767)
Ni (0.250, 0.250, 0.627)
Ni (0.250, 0.750, 0.000)
Ni (0.750, 0.250, 0.000)
Ni (0.750, 0.750, 0.373)
Sn (0.250, 0.250, 0.875)
Sn (0.250, 0.750, 0.500)
Sn (0.750, 0.250, 0.500)
Sn (0.750, 0.750, 0.125)

Computed properties:
mass density: 9.89 g cm⁻³
total DFT energy (no corrections): -299.1 eV/cell
calculated volume: 197.1 Å³/cell
ΔH_f (0 K): -0.528 eV per atom
SG: P4/nmm